The following is a PBE with a Hubbard U calculation of a relaxed structure of Li3V2O4F2, from Materials Project.

a b c (Å): 5.9448 5.9448 8.7388
angles (deg): 118.38 118.38 60.49
Positions (direct):
Li  0.2046  0.7292  0.6245
Li  0.2530  0.2530  0.3604
Li  0.2708  0.7954  0.3755
Li  0.7292  0.2046  0.6245
Li  0.7470  0.7470  0.6396
Li  0.7954  0.2708  0.3755
V  0.2426  0.2426  0.9816
V  0.2539  0.7461  0.0000
V  0.7461  0.2539  0.0000
V  0.7574  0.7574  0.0184
O  0.0037  0.0037  0.8441
O  0.0133  0.5414  0.8636
O  0.4586  0.9867  0.1364
O  0.4828  0.4828  0.1390
O  0.5172  0.5172  0.8610
O  0.5414  0.0133  0.8636
O  0.9867  0.4586  0.1364
O  0.9963  0.9963  0.1559
F  0.0000  0.0000  0.5000
F  0.0000  0.5000  0.5000
F  0.5000  0.0000  0.5000
F  0.5000  0.5000  0.5000

Summary:
Distance to the lowest polymorph of the same formula (meV per atom): 20
Symmetry: C2/m, No. 12
Energy (eV per atom): -6.36
Crystal system: monoclinic
E_form (eV/atom): -2.680